[1]
Below is P2W9O31 after structural relaxation, with properties calculated at the PBE with a Hubbard U level. Values from VASP.

Geometry as Quantum ESPRESSO input:
```
&SYSTEM
  ibrav = 0, nat = 84, ntyp = 3
/
ATOMIC_SPECIES
P 30.97 P.upf
W 183.84 W.upf
O 16.00 O.upf
CELL_PARAMETERS angstrom
6.702 0.000 0.000
0.000 5.425 0.000
0.000 5.335 33.541
ATOMIC_POSITIONS crystal
P 0.365 0.294 0.716
P 0.865 0.706 0.784
P 0.135 0.294 0.216
P 0.635 0.706 0.284
W 0.331 0.540 0.454
W 0.169 0.540 0.954
W 0.338 0.906 0.592
W 0.669 0.460 0.546
W 0.662 0.094 0.408
W 0.838 0.094 0.908
W 0.508 0.634 0.861
W 0.671 0.817 0.686
W 0.829 0.817 0.186
W 0.162 0.906 0.092
W 0.992 0.634 0.361
W 0.000 0.000 0.500
W 0.329 0.183 0.314
W 0.008 0.366 0.639
W 0.492 0.366 0.139
W 0.171 0.183 0.814
W 0.500 0.000 0.000
W 0.831 0.460 0.046
O 0.492 0.133 0.359
O 0.664 0.401 0.096
O 0.682 0.845 0.883
O 0.802 0.769 0.739
O 0.498 0.911 0.293
O 0.826 0.568 0.669
O 0.152 0.748 0.478
O 0.331 0.949 0.047
O 0.658 0.347 0.879
O 0.326 0.432 0.831
O 0.848 0.252 0.522
O 0.988 0.340 0.927
O 0.831 0.051 0.453
O 0.669 0.051 0.953
O 0.836 0.401 0.596
O 0.474 0.547 0.711
O 0.348 0.748 0.978
O 0.674 0.568 0.169
O 0.150 0.925 0.334
O 0.008 0.133 0.859
O 0.026 0.547 0.211
O 0.526 0.453 0.289
O 0.822 0.741 0.526
O 0.302 0.231 0.761
O 0.182 0.155 0.617
O 0.512 0.340 0.427
O 0.336 0.599 0.904
O 0.842 0.347 0.379
O 0.675 0.687 0.809
O 0.198 0.231 0.261
O 0.986 0.159 0.069
O 0.998 0.089 0.207
O 0.650 0.075 0.166
O 0.318 0.155 0.117
O 0.002 0.911 0.793
O 0.818 0.845 0.383
O 0.322 0.259 0.974
O 0.175 0.313 0.691
O 0.850 0.075 0.666
O 0.012 0.660 0.073
O 0.488 0.660 0.573
O 0.698 0.769 0.239
O 0.174 0.432 0.331
O 0.508 0.867 0.641
O 0.974 0.453 0.789
O 0.014 0.841 0.931
O 0.514 0.159 0.569
O 0.486 0.841 0.431
O 0.350 0.925 0.834
O 0.825 0.687 0.309
O 0.502 0.089 0.707
O 0.158 0.653 0.621
O 0.678 0.741 0.026
O 0.992 0.867 0.141
O 0.652 0.252 0.022
O 0.325 0.313 0.191
O 0.169 0.949 0.547
O 0.342 0.653 0.121
O 0.500 0.500 0.500
O 0.178 0.259 0.474
O 0.000 0.500 0.000
O 0.164 0.599 0.404
```

Values from the calculation:
Energy above the most stable polymorph in this dataset, meV/atom: 2.4
Total energy, eV/f.u.: -315.0
Spin magnetization, μB per cell: 4.0
Symmetry: P2_1/c (14)


[2]
Below is LiMn2P3O10 after structural relaxation, with properties calculated at the PBE with a Hubbard U level. Values from VASP.

Geometry as Quantum ESPRESSO input:
```
&SYSTEM
  ibrav = 0, nat = 32, ntyp = 4
/
ATOMIC_SPECIES
Li 6.94 Li.upf
Mn 54.94 Mn.upf
P 30.97 P.upf
O 16.00 O.upf
CELL_PARAMETERS angstrom
-4.760 7.369 0.437
-1.888 -0.971 -4.195
-7.222 -4.845 3.038
ATOMIC_POSITIONS crystal
Li 0.000 0.000 0.000
Li 0.500 0.000 0.000
Mn 0.065 0.965 0.332
Mn 0.435 0.965 0.332
Mn 0.565 0.035 0.668
Mn 0.935 0.035 0.668
P 0.750 0.330 0.176
P 0.250 0.400 0.537
P 0.250 0.544 0.139
P 0.750 0.456 0.861
P 0.250 0.670 0.824
P 0.750 0.600 0.463
O 0.896 0.159 0.183
O 0.604 0.159 0.183
O 0.250 0.251 0.235
O 0.396 0.229 0.518
O 0.104 0.841 0.817
O 0.396 0.841 0.817
O 0.750 0.749 0.765
O 0.604 0.771 0.482
O 0.896 0.771 0.482
O 0.250 0.697 0.447
O 0.105 0.719 0.151
O 0.395 0.719 0.151
O 0.250 0.448 0.973
O 0.750 0.555 0.290
O 0.250 0.445 0.710
O 0.750 0.552 0.027
O 0.605 0.281 0.849
O 0.895 0.281 0.849
O 0.750 0.303 0.553
O 0.104 0.229 0.518
```

Values from the calculation:
Energy above the most stable polymorph in this dataset, meV/atom: 0.0
Total energy, eV/f.u.: -117.7
Spin magnetization, μB per cell: 20.0
Symmetry: P2_1/m (11)


[3]
Below is Ba2V2O5 after structural relaxation, with properties calculated at the PBE with a Hubbard U level. Values from VASP.

Geometry as Quantum ESPRESSO input:
```
&SYSTEM
  ibrav = 0, nat = 45, ntyp = 3
/
ATOMIC_SPECIES
Ba 137.33 Ba.upf
V 50.94 V.upf
O 16.00 O.upf
CELL_PARAMETERS angstrom
-5.762 0.000 0.000
-2.794 -5.064 0.000
-0.326 -0.132 23.006
ATOMIC_POSITIONS crystal
Ba 0.658 0.685 0.608
Ba 0.668 0.666 0.106
Ba 0.655 0.689 0.797
Ba 0.676 0.655 0.300
Ba 0.997 0.998 0.003
Ba 0.005 0.995 0.503
Ba 0.348 0.307 0.398
Ba 0.333 0.328 0.899
Ba 0.323 0.331 0.207
Ba 0.325 0.347 0.705
V 0.668 0.675 0.459
V 0.628 0.681 0.948
V 0.984 0.009 0.862
V 0.970 0.052 0.650
V 0.042 0.936 0.356
V 0.979 0.005 0.255
V 0.995 0.005 0.143
V 0.983 0.034 0.752
V 0.344 0.316 0.547
V 0.361 0.321 0.056
O 0.291 0.855 0.701
O 0.322 0.826 0.899
O 0.353 0.806 0.403
O 0.849 0.850 0.700
O 0.851 0.846 0.204
O 0.838 0.823 0.903
O 0.852 0.810 0.403
O 0.180 0.672 0.298
O 0.172 0.666 0.103
O 0.834 0.340 0.907
O 0.004 0.497 0.502
O 0.851 0.301 0.203
O 0.817 0.344 0.701
O 0.161 0.182 0.602
O 0.169 0.164 0.102
O 0.151 0.150 0.803
O 0.179 0.126 0.304
O 0.491 0.506 0.003
O 0.505 0.497 0.503
O 0.491 0.007 0.001
O 0.505 0.997 0.502
O 0.667 0.166 0.103
O 0.656 0.181 0.602
O 0.686 0.162 0.805
O 0.709 0.168 0.313
```

Values from the calculation:
Total energy, eV/f.u.: -63.5
Spin magnetization, μB per cell: 19.2
Symmetry: P1 (1)


[4]
Below is NiB4O7 after structural relaxation, with properties calculated at the PBE with a Hubbard U level. Values from VASP.

Geometry as Quantum ESPRESSO input:
```
&SYSTEM
  ibrav = 0, nat = 48, ntyp = 3
/
ATOMIC_SPECIES
Ni 58.69 Ni.upf
B 10.81 B.upf
O 16.00 O.upf
CELL_PARAMETERS angstrom
0.000 5.556 3.254
-5.218 0.017 6.341
5.218 0.017 6.341
ATOMIC_POSITIONS crystal
Ni 0.746 0.125 0.875
Ni 0.254 0.375 0.625
Ni 0.746 0.625 0.375
Ni 0.254 0.875 0.125
B 0.929 0.759 0.009
B 0.929 0.259 0.509
B 0.303 0.509 0.259
B 0.303 0.009 0.759
B 0.697 0.991 0.241
B 0.697 0.491 0.741
B 0.071 0.741 0.491
B 0.071 0.241 0.991
B 0.702 0.798 0.798
B 0.702 0.298 0.298
B 0.702 0.548 0.048
B 0.702 0.048 0.548
B 0.298 0.202 0.202
B 0.298 0.702 0.702
B 0.298 0.952 0.452
B 0.298 0.452 0.952
O 0.070 0.625 0.375
O 0.070 0.125 0.875
O 0.930 0.875 0.125
O 0.930 0.375 0.625
O 0.198 0.153 0.403
O 0.198 0.653 0.903
O 0.755 0.597 0.847
O 0.755 0.097 0.347
O 0.245 0.903 0.653
O 0.245 0.403 0.153
O 0.802 0.347 0.097
O 0.802 0.847 0.597
O 0.812 0.862 0.885
O 0.812 0.362 0.385
O 0.558 0.888 0.365
O 0.558 0.388 0.865
O 0.188 0.638 0.615
O 0.188 0.138 0.115
O 0.558 0.115 0.138
O 0.558 0.615 0.638
O 0.188 0.865 0.388
O 0.188 0.365 0.888
O 0.442 0.385 0.362
O 0.442 0.885 0.862
O 0.442 0.612 0.135
O 0.442 0.112 0.635
O 0.812 0.635 0.112
O 0.812 0.135 0.612
```

Values from the calculation:
Total energy, eV/f.u.: -90.2
Spin magnetization, μB per cell: 0.0


[5]
Below is Na3Li3Mn2P2C2O14 after structural relaxation, with properties calculated at the PBE with a Hubbard U level. Values from VASP.

Geometry as Quantum ESPRESSO input:
```
&SYSTEM
  ibrav = 0, nat = 52, ntyp = 6
/
ATOMIC_SPECIES
Na 22.99 Na.upf
Li 6.94 Li.upf
Mn 54.94 Mn.upf
P 30.97 P.upf
C 12.01 C.upf
O 16.00 O.upf
CELL_PARAMETERS angstrom
6.766 0.000 0.000
-0.166 8.750 0.000
-0.054 -0.190 10.148
ATOMIC_POSITIONS crystal
Na 0.244 0.916 0.379
Na 0.500 0.746 0.626
Na 0.999 0.745 0.123
Na 0.501 0.743 0.122
Na 0.501 0.254 0.876
Na 0.501 0.255 0.376
Li 0.236 0.920 0.875
Li 0.020 0.730 0.621
Li 0.982 0.266 0.884
Li 0.980 0.270 0.384
Li 0.767 0.086 0.626
Li 0.760 0.089 0.123
Mn 0.751 0.642 0.885
Mn 0.752 0.640 0.391
Mn 0.246 0.355 0.613
Mn 0.245 0.356 0.109
P 0.241 0.595 0.849
P 0.245 0.585 0.354
P 0.758 0.406 0.649
P 0.753 0.402 0.146
C 0.760 0.955 0.866
C 0.759 0.955 0.367
C 0.239 0.052 0.639
C 0.248 0.051 0.130
O 0.227 0.904 0.654
O 0.255 0.907 0.150
O 0.753 0.910 0.987
O 0.751 0.910 0.489
O 0.753 0.854 0.769
O 0.753 0.853 0.271
O 0.068 0.696 0.897
O 0.434 0.684 0.889
O 0.068 0.683 0.401
O 0.436 0.673 0.399
O 0.231 0.579 0.695
O 0.768 0.572 0.595
O 0.243 0.573 0.200
O 0.749 0.564 0.088
O 0.233 0.430 0.905
O 0.773 0.420 0.802
O 0.232 0.420 0.408
O 0.771 0.420 0.300
O 0.564 0.319 0.609
O 0.928 0.304 0.595
O 0.564 0.306 0.110
O 0.927 0.305 0.093
O 0.243 0.141 0.743
O 0.242 0.147 0.230
O 0.249 0.111 0.523
O 0.247 0.102 0.010
O 0.773 0.099 0.838
O 0.774 0.098 0.339
```

Values from the calculation:
Energy above the most stable polymorph in this dataset, meV/atom: 10.7
Total energy, eV/f.u.: -175.6
Spin magnetization, μB per cell: 20.0
Symmetry: P1 (1)


[6]
Below is SrP2WO8 after structural relaxation, with properties calculated at the PBE with a Hubbard U level. Values from VASP.

Geometry as Quantum ESPRESSO input:
```
&SYSTEM
  ibrav = 0, nat = 24, ntyp = 4
/
ATOMIC_SPECIES
Sr 87.62 Sr.upf
P 30.97 P.upf
W 183.84 W.upf
O 16.00 O.upf
CELL_PARAMETERS angstrom
-0.400 -1.553 -5.528
6.751 -2.041 1.165
-6.009 -6.000 3.876
ATOMIC_POSITIONS crystal
Sr 0.247 0.752 0.021
Sr 0.753 0.248 0.979
P 0.387 0.447 0.232
P 0.613 0.553 0.768
P 0.845 0.038 0.304
P 0.155 0.962 0.696
W 0.664 0.844 0.564
W 0.336 0.156 0.436
O 0.836 0.554 0.885
O 0.620 0.486 0.183
O 0.645 0.767 0.748
O 0.955 0.096 0.706
O 0.380 0.514 0.817
O 0.993 0.749 0.576
O 0.007 0.251 0.424
O 0.286 0.984 0.859
O 0.355 0.233 0.252
O 0.714 0.016 0.141
O 0.164 0.446 0.115
O 0.403 0.614 0.401
O 0.597 0.386 0.599
O 0.641 0.976 0.388
O 0.045 0.904 0.294
O 0.359 0.024 0.612
```

Values from the calculation:
Energy above the most stable polymorph in this dataset, meV/atom: 0.0
Total energy, eV/f.u.: -87.4
Spin magnetization, μB per cell: 4.0
Symmetry: P-1 (2)


[7]
Below is MgCr8Fe3O16 after structural relaxation, with properties calculated at the PBE with a Hubbard U level. Values from VASP.

Geometry as Quantum ESPRESSO input:
```
&SYSTEM
  ibrav = 0, nat = 28, ntyp = 4
/
ATOMIC_SPECIES
Mg 24.30 Mg.upf
Cr 52.00 Cr.upf
Fe 55.84 Fe.upf
O 16.00 O.upf
CELL_PARAMETERS angstrom
5.128 2.104 2.432
1.863 3.919 -7.321
-2.930 4.944 1.900
ATOMIC_POSITIONS crystal
Mg 0.250 0.125 0.000
Cr 0.750 0.250 0.751
Cr 0.250 0.750 0.250
Cr 0.750 0.250 0.249
Cr 0.250 0.750 0.750
Cr 0.500 0.500 0.000
Cr 0.001 0.000 0.500
Cr 0.000 0.500 0.000
Cr 0.499 0.000 0.500
Fe 0.750 0.625 0.500
Fe 0.750 0.875 0.000
Fe 0.250 0.375 0.500
O 0.750 0.487 0.224
O 0.250 0.989 0.727
O 0.750 0.487 0.776
O 0.250 0.989 0.273
O 0.977 0.261 0.000
O 0.474 0.763 0.500
O 0.523 0.261 0.000
O 0.026 0.763 0.500
O 0.250 0.512 0.777
O 0.750 0.012 0.277
O 0.250 0.512 0.223
O 0.750 0.012 0.723
O 0.027 0.738 0.000
O 0.527 0.238 0.500
O 0.473 0.738 0.000
O 0.973 0.238 0.500
```

Values from the calculation:
Total energy, eV/f.u.: -213.7
Spin magnetization, μB per cell: 36.0
Symmetry: P-4m2 (115)


[8]
Below is Y2MnCoO6 after structural relaxation, with properties calculated at the PBE with a Hubbard U level. Values from VASP.

Geometry as Quantum ESPRESSO input:
```
&SYSTEM
  ibrav = 0, nat = 20, ntyp = 4
/
ATOMIC_SPECIES
Y 88.91 Y.upf
Mn 54.94 Mn.upf
Co 58.93 Co.upf
O 16.00 O.upf
CELL_PARAMETERS angstrom
5.301 0.000 0.016
0.000 5.651 0.000
0.013 0.000 7.578
ATOMIC_POSITIONS crystal
Y 0.980 0.071 0.250
Y 0.480 0.429 0.750
Y 0.020 0.929 0.750
Y 0.520 0.571 0.250
Mn 0.000 0.500 0.500
Mn 0.500 0.000 0.000
Co 0.500 0.000 0.500
Co 0.000 0.500 0.000
O 0.110 0.461 0.256
O 0.610 0.039 0.756
O 0.890 0.539 0.744
O 0.390 0.961 0.244
O 0.297 0.687 0.553
O 0.797 0.813 0.053
O 0.703 0.313 0.447
O 0.203 0.187 0.947
O 0.182 0.208 0.558
O 0.682 0.292 0.058
O 0.818 0.792 0.442
O 0.318 0.708 0.942
```

Values from the calculation:
Total energy, eV/f.u.: -79.9
Symmetry: P2_1/c (14)


[9]
Below is ZnFeP2O7 after structural relaxation, with properties calculated at the PBE with a Hubbard U level. Values from VASP.

Geometry as Quantum ESPRESSO input:
```
&SYSTEM
  ibrav = 0, nat = 44, ntyp = 4
/
ATOMIC_SPECIES
Zn 65.41 Zn.upf
Fe 55.84 Fe.upf
P 30.97 P.upf
O 16.00 O.upf
CELL_PARAMETERS angstrom
5.614 -3.020 -3.185
-1.220 -6.705 3.005
-4.852 -3.782 -7.595
ATOMIC_POSITIONS crystal
Zn 0.163 0.659 0.491
Zn 0.663 0.659 0.991
Zn 0.837 0.341 0.509
Zn 0.337 0.342 0.009
Fe 0.450 0.202 0.707
Fe 0.050 0.798 0.793
Fe 0.950 0.202 0.207
Fe 0.550 0.798 0.293
P 0.247 0.093 0.437
P 0.747 0.093 0.937
P 0.753 0.907 0.563
P 0.253 0.907 0.063
P 0.988 0.615 0.210
P 0.488 0.615 0.710
P 0.012 0.385 0.790
P 0.512 0.385 0.290
O 0.292 0.898 0.398
O 0.792 0.898 0.898
O 0.708 0.101 0.602
O 0.208 0.102 0.102
O 0.281 0.114 0.584
O 0.780 0.114 0.084
O 0.720 0.886 0.416
O 0.220 0.886 0.916
O 0.050 0.168 0.401
O 0.549 0.168 0.901
O 0.951 0.832 0.599
O 0.450 0.832 0.099
O 0.013 0.424 0.631
O 0.513 0.425 0.131
O 0.987 0.575 0.369
O 0.487 0.576 0.869
O 0.082 0.456 0.134
O 0.582 0.456 0.634
O 0.918 0.544 0.866
O 0.418 0.544 0.366
O 0.104 0.793 0.170
O 0.605 0.792 0.670
O 0.895 0.208 0.830
O 0.396 0.208 0.329
O 0.712 0.330 0.331
O 0.212 0.330 0.831
O 0.288 0.670 0.669
O 0.788 0.670 0.169
```

Values from the calculation:
Energy above the most stable polymorph in this dataset, meV/atom: 6.5
Total energy, eV/f.u.: -74.4
Spin magnetization, μB per cell: 0.0


Please write out number 8 again, unchanged.
Below is Y2MnCoO6 after structural relaxation, with properties calculated at the PBE with a Hubbard U level. Values from VASP.

Geometry as Quantum ESPRESSO input:
```
&SYSTEM
  ibrav = 0, nat = 20, ntyp = 4
/
ATOMIC_SPECIES
Y 88.91 Y.upf
Mn 54.94 Mn.upf
Co 58.93 Co.upf
O 16.00 O.upf
CELL_PARAMETERS angstrom
5.301 0.000 0.016
0.000 5.651 0.000
0.013 0.000 7.578
ATOMIC_POSITIONS crystal
Y 0.980 0.071 0.250
Y 0.480 0.429 0.750
Y 0.020 0.929 0.750
Y 0.520 0.571 0.250
Mn 0.000 0.500 0.500
Mn 0.500 0.000 0.000
Co 0.500 0.000 0.500
Co 0.000 0.500 0.000
O 0.110 0.461 0.256
O 0.610 0.039 0.756
O 0.890 0.539 0.744
O 0.390 0.961 0.244
O 0.297 0.687 0.553
O 0.797 0.813 0.053
O 0.703 0.313 0.447
O 0.203 0.187 0.947
O 0.182 0.208 0.558
O 0.682 0.292 0.058
O 0.818 0.792 0.442
O 0.318 0.708 0.942
```

Values from the calculation:
Total energy, eV/f.u.: -79.9
Symmetry: P2_1/c (14)